A relaxed structure of K6Ba2CaU6O24. Source: the Materials Project, functional GGA-PBE.

Cell and atoms, written as POSCAR:
```
K6Ba2CaU6O24
1.0
-4.361 -4.401 4.401
-4.361 4.401 -4.401
0.000 -8.700 -8.700
O Ba U K Ca
24 2 6 6 1
direct
0.000 0.500 0.255 O
0.870 0.130 0.379 O
0.864 0.136 0.134 O
0.650 0.350 0.362 O
0.350 0.650 0.362 O
0.375 0.625 0.124 O
0.350 0.650 0.638 O
0.375 0.625 0.876 O
0.725 0.725 0.000 O
0.136 0.864 0.866 O
0.000 0.500 0.745 O
0.781 0.781 0.500 O
0.625 0.375 0.876 O
0.650 0.350 0.638 O
0.130 0.870 0.621 O
0.136 0.864 0.134 O
0.130 0.870 0.379 O
0.500 0.000 0.745 O
0.500 0.000 0.255 O
0.275 0.275 0.000 O
0.625 0.375 0.124 O
0.870 0.130 0.621 O
0.219 0.219 0.500 O
0.864 0.136 0.866 O
0.500 0.000 0.500 Ba
0.000 0.500 0.500 Ba
0.500 0.500 0.000 U
0.753 0.247 0.245 U
0.247 0.753 0.755 U
0.247 0.753 0.245 U
0.753 0.247 0.755 U
0.000 0.000 0.500 U
0.265 0.265 0.258 K
0.000 0.500 0.000 K
0.500 0.000 0.000 K
0.265 0.265 0.742 K
0.735 0.735 0.258 K
0.735 0.735 0.742 K
0.000 0.000 0.000 Ca
```

Summary:
Raw total energy   -312.8 eV per cell
Crystal system   orthorhombic
Distance to the lowest polymorph of the same formula   0.0 meV per atom
Size of the total moment   0.0 Bohr magnetons per cell
Space-group type   Cmmm, No. 65
DFT formation energy   -3.34 eV/atom


A relaxed structure of Re4BiO12. Source: the Materials Project, functional GGA-PBE.

Cell and atoms, written as POSCAR:
```
Re4BiO12
1.0
4.241 0.725 1.607
1.288 5.944 1.065
-0.259 -0.583 13.139
Bi O Re
1 12 4
direct
0.519 0.578 0.482 Bi
0.839 0.337 0.832 O
0.679 0.206 0.393 O
0.796 0.601 0.224 O
0.898 0.857 0.910 O
0.299 0.955 0.548 O
0.077 0.022 0.060 O
0.145 0.562 0.158 O
0.162 0.701 0.381 O
0.493 0.926 0.748 O
0.410 0.066 0.234 O
0.027 0.656 0.608 O
0.652 0.261 0.617 O
0.886 0.897 0.174 Re
0.048 0.990 0.313 Re
0.044 0.035 0.813 Re
0.895 0.972 0.648 Re
```

Summary:
Raw total energy   -131.1 eV per cell
Crystal system   triclinic
Size of the total moment   0.2 Bohr magnetons per cell
Space-group type   P1, No. 1
DFT formation energy   -1.39 eV/atom


A relaxed structure of CoNi2S4. Source: the Materials Project, functional GGA-PBE.

Cell and atoms, written as POSCAR:
```
CoNi2S4
1.0
0.000 4.694 4.694
4.694 0.000 4.694
4.694 4.694 0.000
Ni S Co
4 8 2
direct
0.125 0.125 0.625 Ni
0.125 0.625 0.125 Ni
0.125 0.125 0.125 Ni
0.625 0.125 0.125 Ni
0.881 0.881 0.357 S
0.881 0.357 0.881 S
0.881 0.881 0.881 S
0.369 0.369 0.893 S
0.893 0.369 0.369 S
0.357 0.881 0.881 S
0.369 0.369 0.369 S
0.369 0.893 0.369 S
0.500 0.500 0.500 Co
0.750 0.750 0.750 Co
```

Summary:
Raw total energy   -75.7 eV per cell
Crystal system   cubic
Size of the total moment   0.0 Bohr magnetons per cell
Space-group type   Fd-3m, No. 227
DFT formation energy   -0.66 eV/atom


A relaxed structure of Np3P. Source: the Materials Project, functional GGA-PBE.

Cell and atoms, written as POSCAR:
```
Np3P
1.0
-2.097 2.097 4.064
2.097 -2.097 4.064
2.097 2.097 -4.064
Np P
3 1
direct
0.250 0.750 0.500 Np
0.500 0.500 0.000 Np
0.750 0.250 0.500 Np
0.000 0.000 0.000 P
```

Summary:
Raw total energy   -45.0 eV per cell
Crystal system   tetragonal
Size of the total moment   2.9 Bohr magnetons per cell
Space-group type   I4/mmm, No. 139
DFT formation energy   -0.19 eV/atom


A relaxed structure of HfMg30SnO32. Source: the Materials Project, functional GGA-PBE.

Cell and atoms, written as POSCAR:
```
HfMg30SnO32
1.0
8.654 0.000 0.000
0.000 8.654 0.000
0.000 0.000 8.681
O Mg Sn Hf
32 30 1 1
direct
0.751 0.500 0.500 O
0.000 0.500 0.747 O
0.500 0.500 0.259 O
0.750 0.750 0.752 O
0.000 0.253 0.500 O
0.500 0.000 0.253 O
0.271 0.000 0.000 O
0.253 0.000 0.500 O
0.000 0.271 0.000 O
0.250 0.250 0.248 O
0.000 0.747 0.500 O
0.000 0.000 0.271 O
0.249 0.500 0.500 O
0.747 0.000 0.500 O
0.000 0.000 0.729 O
0.250 0.750 0.752 O
0.500 0.249 0.500 O
0.250 0.500 0.000 O
0.750 0.750 0.248 O
0.250 0.750 0.248 O
0.500 0.000 0.747 O
0.250 0.250 0.752 O
0.500 0.751 0.500 O
0.750 0.500 0.000 O
0.500 0.500 0.741 O
0.500 0.750 0.000 O
0.000 0.729 0.000 O
0.729 0.000 0.000 O
0.750 0.250 0.248 O
0.750 0.250 0.752 O
0.500 0.250 0.000 O
0.000 0.500 0.253 O
0.000 0.500 0.500 Mg
0.247 0.500 0.745 Mg
0.500 0.753 0.255 Mg
0.254 0.000 0.745 Mg
0.750 0.250 0.500 Mg
0.746 0.000 0.255 Mg
0.751 0.249 0.000 Mg
0.249 0.751 0.000 Mg
0.500 0.247 0.745 Mg
0.500 0.500 0.500 Mg
0.500 0.753 0.745 Mg
0.750 0.750 0.500 Mg
0.500 0.000 0.500 Mg
0.000 0.254 0.745 Mg
0.250 0.250 0.500 Mg
0.247 0.500 0.255 Mg
0.000 0.000 0.500 Mg
0.753 0.500 0.745 Mg
0.746 0.000 0.745 Mg
0.500 0.000 0.000 Mg
0.249 0.249 0.000 Mg
0.500 0.247 0.255 Mg
0.000 0.746 0.745 Mg
0.254 0.000 0.255 Mg
0.000 0.746 0.255 Mg
0.753 0.500 0.255 Mg
0.751 0.751 0.000 Mg
0.250 0.750 0.500 Mg
0.000 0.254 0.255 Mg
0.000 0.500 0.000 Mg
0.000 0.000 0.000 Sn
0.500 0.500 0.000 Hf
```

Summary:
Raw total energy   -383.6 eV per cell
Crystal system   tetragonal
Size of the total moment   1.2 Bohr magnetons per cell
Space-group type   P4/mmm, No. 123
DFT formation energy   -2.89 eV/atom


A relaxed structure of Ta24Cu13O72. Source: the Materials Project, functional GGA-PBE.

Cell and atoms, written as POSCAR:
```
Ta24Cu13O72
1.0
-2.824 6.626 2.413
-9.981 -3.816 -1.202
-4.662 -7.301 14.592
Ta O Cu
24 72 13
direct
0.251 0.747 0.499 Ta
0.255 0.416 0.166 Ta
0.745 0.750 0.999 Ta
0.749 0.253 0.501 Ta
0.254 0.083 0.834 Ta
0.254 0.416 0.667 Ta
0.745 0.250 0.001 Ta
0.746 0.416 0.667 Ta
0.251 0.916 0.669 Ta
0.745 0.416 0.166 Ta
0.749 0.747 0.499 Ta
0.255 0.750 0.999 Ta
0.746 0.083 0.834 Ta
0.749 0.084 0.331 Ta
0.749 0.916 0.669 Ta
0.745 0.584 0.834 Ta
0.254 0.917 0.166 Ta
0.255 0.584 0.834 Ta
0.254 0.584 0.333 Ta
0.251 0.253 0.501 Ta
0.746 0.584 0.333 Ta
0.746 0.917 0.166 Ta
0.251 0.084 0.331 Ta
0.255 0.250 0.001 Ta
0.701 0.696 0.902 O
0.500 0.942 0.624 O
0.813 0.770 0.271 O
0.500 0.866 0.170 O
0.701 0.304 0.098 O
0.000 0.888 0.708 O
0.299 0.696 0.902 O
0.692 0.394 0.395 O
0.000 0.778 0.958 O
0.187 0.770 0.271 O
0.000 0.444 0.623 O
0.000 0.556 0.377 O
0.500 0.533 0.836 O
0.182 0.460 0.770 O
0.000 0.650 0.828 O
0.186 0.104 0.604 O
0.818 0.540 0.230 O
0.692 0.729 0.727 O
0.818 0.792 0.104 O
0.299 0.304 0.098 O
0.500 0.604 0.301 O
0.301 0.639 0.431 O
0.182 0.875 0.563 O
0.306 0.060 0.061 O
0.000 0.017 0.837 O
0.187 0.230 0.729 O
0.500 0.134 0.830 O
0.813 0.438 0.937 O
0.814 0.896 0.396 O
0.306 0.940 0.939 O
0.694 0.940 0.939 O
0.813 0.230 0.729 O
0.500 0.815 0.497 O
0.698 0.028 0.237 O
0.818 0.125 0.437 O
0.500 0.058 0.376 O
0.500 0.396 0.699 O
0.302 0.972 0.763 O
0.308 0.394 0.395 O
0.692 0.271 0.273 O
0.818 0.460 0.770 O
0.187 0.562 0.063 O
0.182 0.540 0.230 O
0.302 0.028 0.237 O
0.000 0.686 0.505 O
0.182 0.208 0.896 O
0.500 0.185 0.503 O
0.000 0.112 0.292 O
0.694 0.060 0.061 O
0.813 0.562 0.063 O
0.308 0.606 0.605 O
0.308 0.729 0.727 O
0.000 0.983 0.163 O
0.000 0.350 0.172 O
0.187 0.438 0.937 O
0.699 0.639 0.431 O
0.301 0.361 0.569 O
0.500 0.467 0.164 O
0.818 0.208 0.896 O
0.699 0.361 0.569 O
0.186 0.896 0.396 O
0.500 0.729 0.034 O
0.698 0.972 0.763 O
0.182 0.125 0.437 O
0.818 0.875 0.563 O
0.000 0.222 0.042 O
0.692 0.606 0.605 O
0.182 0.792 0.104 O
0.814 0.104 0.604 O
0.000 0.314 0.495 O
0.500 0.271 0.966 O
0.308 0.271 0.273 O
0.000 0.832 0.835 Cu
0.500 0.666 0.667 Cu
0.500 0.334 0.333 Cu
0.500 0.000 0.500 Cu
0.000 0.833 0.333 Cu
0.500 0.000 0.000 Cu
0.000 0.168 0.165 Cu
0.000 0.000 0.500 Cu
0.000 0.666 0.167 Cu
0.000 0.500 0.500 Cu
0.000 0.334 0.833 Cu
0.000 0.167 0.667 Cu
0.000 0.500 0.000 Cu
```

Summary:
Raw total energy   -945.0 eV per cell
Crystal system   monoclinic
Size of the total moment   11.4 Bohr magnetons per cell
Space-group type   P2/m, No. 10
DFT formation energy   -2.76 eV/atom


A relaxed structure of Er6MnSb2. Source: the Materials Project, functional GGA-PBE.

Cell and atoms, written as POSCAR:
```
Er6MnSb2
1.0
3.858 2.092 6.795
-6.325 -5.032 0.326
2.590 -3.284 -0.459
Er Mn Sb
6 1 2
direct
0.236 0.000 0.500 Er
0.602 0.000 0.000 Er
0.000 0.236 0.500 Er
0.398 0.398 0.000 Er
0.000 0.602 0.000 Er
0.764 0.764 0.500 Er
0.000 0.000 0.000 Mn
0.333 0.667 0.500 Sb
0.667 0.333 0.500 Sb
```

Summary:
Raw total energy   -49.6 eV per cell
Crystal system   hexagonal
Space-group type   P-62m, No. 189
DFT formation energy   -0.58 eV/atom


A relaxed structure of K5Ag2As3Se9. Source: the Materials Project, functional GGA-PBE.

Cell and atoms, written as POSCAR:
```
K5Ag2As3Se9
1.0
-11.259 -6.085 -0.639
1.735 -4.463 11.924
-6.568 11.596 5.296
Se K As Ag
36 20 12 8
direct
0.250 0.643 0.431 Se
0.899 0.124 0.068 Se
0.096 0.539 0.852 Se
0.101 0.876 0.932 Se
0.399 0.876 0.932 Se
0.601 0.624 0.432 Se
0.899 0.624 0.432 Se
0.101 0.376 0.568 Se
0.750 0.214 0.323 Se
0.096 0.039 0.648 Se
0.404 0.539 0.852 Se
0.601 0.124 0.068 Se
0.250 0.786 0.677 Se
0.401 0.715 0.204 Se
0.404 0.039 0.648 Se
0.250 0.286 0.823 Se
0.901 0.285 0.796 Se
0.904 0.461 0.148 Se
0.399 0.376 0.568 Se
0.099 0.715 0.204 Se
0.401 0.215 0.296 Se
0.596 0.961 0.352 Se
0.750 0.714 0.177 Se
0.750 0.357 0.569 Se
0.599 0.285 0.796 Se
0.250 0.143 0.069 Se
0.904 0.961 0.352 Se
0.599 0.785 0.704 Se
0.750 0.857 0.931 Se
0.099 0.215 0.296 Se
0.596 0.461 0.148 Se
0.750 0.075 0.654 Se
0.750 0.575 0.846 Se
0.250 0.925 0.346 Se
0.901 0.785 0.704 Se
0.250 0.425 0.154 Se
0.424 0.823 0.504 K
0.250 0.173 0.492 K
0.579 0.519 0.673 K
0.079 0.981 0.173 K
0.076 0.323 0.996 K
0.079 0.481 0.327 K
0.576 0.677 0.004 K
0.424 0.323 0.996 K
0.750 0.327 0.992 K
0.924 0.677 0.004 K
0.921 0.519 0.673 K
0.576 0.177 0.496 K
0.421 0.981 0.173 K
0.750 0.827 0.508 K
0.421 0.481 0.327 K
0.076 0.823 0.504 K
0.579 0.019 0.827 K
0.924 0.177 0.496 K
0.250 0.673 0.008 K
0.921 0.019 0.827 K
0.750 0.749 0.796 As
0.750 0.032 0.282 As
0.250 0.468 0.782 As
0.750 0.520 0.407 As
0.750 0.249 0.704 As
0.750 0.020 0.093 As
0.250 0.751 0.296 As
0.250 0.480 0.593 As
0.250 0.251 0.204 As
0.250 0.980 0.907 As
0.750 0.532 0.218 As
0.250 0.968 0.718 As
0.411 0.737 0.787 Ag
0.911 0.763 0.287 Ag
0.411 0.237 0.713 Ag
0.589 0.763 0.287 Ag
0.589 0.263 0.213 Ag
0.089 0.237 0.713 Ag
0.089 0.737 0.787 Ag
0.911 0.263 0.213 Ag
```

Summary:
Raw total energy   -274.6 eV per cell
Crystal system   orthorhombic
Size of the total moment   0.0 Bohr magnetons per cell
Space-group type   Pnma, No. 62
DFT formation energy   -0.85 eV/atom


A relaxed structure of Ho4In20Ni11. Source: the Materials Project, functional GGA-PBE.

Cell and atoms, written as POSCAR:
```
Ho4In20Ni11
1.0
2.162 11.305 0.000
-2.162 11.305 0.000
0.000 9.375 13.794
Ni In Ho
11 20 4
direct
0.347 0.347 0.878 Ni
0.653 0.653 0.122 Ni
0.500 0.500 0.500 Ni
0.254 0.254 0.382 Ni
0.492 0.492 0.195 Ni
0.508 0.508 0.805 Ni
0.978 0.978 0.600 Ni
0.746 0.746 0.618 Ni
0.137 0.137 0.897 Ni
0.022 0.022 0.400 Ni
0.863 0.863 0.103 Ni
0.115 0.115 0.448 In
0.063 0.063 0.210 In
0.798 0.798 0.003 In
0.629 0.629 0.804 In
0.753 0.753 0.291 In
0.541 0.541 0.622 In
0.389 0.389 0.691 In
0.398 0.398 0.990 In
0.202 0.202 0.997 In
0.459 0.459 0.378 In
0.937 0.937 0.790 In
0.011 0.011 0.905 In
0.703 0.703 0.498 In
0.602 0.602 0.010 In
0.885 0.885 0.552 In
0.297 0.297 0.502 In
0.611 0.611 0.309 In
0.989 0.989 0.095 In
0.371 0.371 0.196 In
0.247 0.247 0.709 In
0.881 0.881 0.331 Ho
0.229 0.229 0.173 Ho
0.119 0.119 0.669 Ho
0.771 0.771 0.827 Ho
```

Summary:
Raw total energy   -146.2 eV per cell
Crystal system   monoclinic
Size of the total moment   0.0 Bohr magnetons per cell
Space-group type   C2/m, No. 12
DFT formation energy   -0.26 eV/atom


A relaxed structure of Ca2Cu. Source: the Materials Project, functional GGA-PBE.

Cell and atoms, written as POSCAR:
```
Ca2Cu
1.0
4.149 0.000 0.000
0.000 6.033 0.000
0.000 0.000 14.502
Ca Cu
8 4
direct
0.750 0.631 0.666 Ca
0.250 0.869 0.166 Ca
0.750 0.131 0.834 Ca
0.750 0.368 0.092 Ca
0.250 0.132 0.592 Ca
0.250 0.369 0.334 Ca
0.250 0.632 0.908 Ca
0.750 0.868 0.408 Ca
0.750 0.389 0.483 Cu
0.250 0.111 0.983 Cu
0.250 0.611 0.517 Cu
0.750 0.889 0.017 Cu
```

Summary:
Raw total energy   -33.8 eV per cell
Crystal system   orthorhombic
Space-group type   Pnma, No. 62
DFT formation energy   -0.11 eV/atom


> Which of these has the lowest raw total energy?

Ta24Cu13O72


> Which of these has the lowest DFT formation energy?

K6Ba2CaU6O24


> The lowest DFT formation energy belongs to which entry?

K6Ba2CaU6O24